# 1
Material: ErV2O2
Method: DFT, PBE with a Hubbard U
State: optimized geometry

Calculated values
E_tot ... -0.2441 Ha/atom
Magnetization ... 6.04 μB/f.u.
Formation energy from the elements ... -103.4 kJ/mol of atoms
Calculated density ... 5548 kg/m³

Lattice parameters (Å, degrees): 7.7687 7.7687 7.7687 110.60 110.60 107.24
Positions (direct):
1 Er 0.8750 0.1250 0.2500
2 Er 0.8750 0.6250 0.7500
3 Er 0.3750 0.1250 0.2500
4 Er 0.8750 0.1250 0.7500
5 V 0.5102 0.1928 0.6826
6 V 0.5102 0.8276 0.3174
7 V 0.5776 0.7602 0.8174
8 V 0.2398 0.4224 0.1826
9 V 0.2398 0.0572 0.8174
10 V 0.9428 0.7602 0.1826
11 V 0.1724 0.4898 0.6826
12 V 0.8072 0.4898 0.3174
13 O 0.6629 0.5129 0.8501
14 O 0.6629 0.8128 0.1499
15 O 0.5628 0.9129 0.6499
16 O 0.0871 0.4372 0.3501
17 O 0.0871 0.7371 0.6499
18 O 0.2629 0.9129 0.3501
19 O 0.1872 0.3371 0.8501
20 O 0.4871 0.3371 0.1499

# 2
Material: Co3Te2O8
Method: DFT, PBE with a Hubbard U
State: optimized geometry

Calculated values
E_tot ... -0.1978 Ha/atom
Magnetization ... 0.13 μB/f.u.
Formation energy from the elements ... -97.9 kJ/mol of atoms
Calculated density ... 5060 kg/m³

Lattice parameters (Å, degrees): 13.0188 13.0188 5.0083 90.00 90.00 120.00
Positions (direct):
1 Co 0.5671 0.9278 0.4416
2 Co 0.0722 0.6394 0.4416
3 Co 0.3606 0.4329 0.4416
4 Co 0.0722 0.4329 0.4416
5 Co 0.3606 0.9278 0.4416
6 Co 0.5671 0.6394 0.4416
7 Co 0.4329 0.0722 0.9416
8 Co 0.9278 0.3606 0.9416
9 Co 0.6394 0.5671 0.9416
10 Co 0.9278 0.5671 0.9416
11 Co 0.6394 0.0722 0.9416
12 Co 0.4329 0.3606 0.9416
13 Te 0.8602 0.7205 0.5019
14 Te 0.2795 0.1398 0.5019
15 Te 0.8602 0.1398 0.5019
16 Te 0.1398 0.2795 0.0019
17 Te 0.7205 0.8602 0.0019
18 Te 0.1398 0.8602 0.0019
19 Te 0.3333 0.6667 0.3734
20 Te 0.6667 0.3333 0.8734
21 O 0.7942 0.5883 0.7442
22 O 0.4117 0.2058 0.7442
23 O 0.7942 0.2058 0.7442
24 O 0.2058 0.4117 0.2442
25 O 0.5883 0.7942 0.2442
26 O 0.2058 0.7942 0.2442
27 O 0.6728 0.7267 0.7656
28 O 0.2733 0.9461 0.7656
29 O 0.0539 0.3272 0.7656
30 O 0.2733 0.3272 0.7656
31 O 0.0539 0.7267 0.7656
32 O 0.6728 0.9461 0.7656
33 O 0.3272 0.2733 0.2656
34 O 0.7267 0.0539 0.2656
35 O 0.9461 0.6728 0.2656
36 O 0.7267 0.6728 0.2656
37 O 0.9461 0.2733 0.2656
38 O 0.3272 0.0539 0.2656
39 O 0.5964 0.1928 0.0853
40 O 0.8072 0.4036 0.0853
41 O 0.5964 0.4036 0.0853
42 O 0.4036 0.8072 0.5853
43 O 0.1928 0.5964 0.5853
44 O 0.4036 0.5964 0.5853
45 O 0.5217 0.0435 0.6666
46 O 0.9565 0.4783 0.6666
47 O 0.5217 0.4783 0.6666
48 O 0.4783 0.9565 0.1666
49 O 0.0435 0.5217 0.1666
50 O 0.4783 0.5217 0.1666
51 O 0.0000 0.0000 0.6421
52 O 0.0000 0.0000 0.1421

# 3
Material: Zn4Fe5P6O28
Method: DFT, PBE with a Hubbard U
State: optimized geometry

Calculated values
E_tot ... -0.2371 Ha/atom
Magnetization ... 22.00 μB/f.u.
Formation energy from the elements ... -200.8 kJ/mol of atoms
Calculated density ... 3731 kg/m³

Lattice parameters (Å, degrees): 6.4170 8.8878 10.1287 71.43 77.94 74.52
Positions (direct):
1 Zn 0.0224 0.4889 0.2019
2 Zn 0.9776 0.5111 0.7981
3 Zn 0.0453 0.8465 0.2223
4 Zn 0.9547 0.1535 0.7777
5 Fe 0.4738 0.2260 0.1743
6 Fe 0.5262 0.7740 0.8257
7 Fe 0.2922 0.6278 0.5176
8 Fe 0.7078 0.3722 0.4824
9 Fe 0.5000 0.0000 0.0000
10 P 0.0116 0.2067 0.0698
11 P 0.9884 0.7933 0.9302
12 P 0.4788 0.6012 0.1912
13 P 0.5212 0.3988 0.8088
14 P 0.2372 0.2808 0.4776
15 P 0.7628 0.7192 0.5224
16 O 0.3679 0.1869 0.3735
17 O 0.6321 0.8131 0.6265
18 O 0.7893 0.2049 0.1573
19 O 0.2107 0.7951 0.8427
20 O 0.1339 0.3011 0.1225
21 O 0.8661 0.6989 0.8775
22 O 0.3852 0.4755 0.1571
23 O 0.6148 0.5245 0.8429
24 O 0.4938 0.2562 0.9454
25 O 0.5062 0.7438 0.0546
26 O 0.0249 0.3996 0.4137
27 O 0.9751 0.6004 0.5863
28 O 0.0006 0.7202 0.0916
29 O 0.9994 0.2798 0.9084
30 O 0.3084 0.4874 0.7435
31 O 0.6916 0.5126 0.2565
32 O 0.3079 0.6822 0.2983
33 O 0.6921 0.3178 0.7017
34 O 0.1539 0.0297 0.0835
35 O 0.8461 0.9703 0.9165
36 O 0.8272 0.8300 0.3799
37 O 0.1728 0.1700 0.6201
38 O 0.3775 0.3965 0.4933
39 O 0.6225 0.6035 0.5067
40 O 0.5305 0.0046 0.1681
41 O 0.4695 0.9954 0.8319
42 O 0.2318 0.8182 0.5213
43 O 0.7682 0.1818 0.4787

# 4
Material: LiFeSi3O8
Method: DFT, PBE with a Hubbard U
State: optimized geometry

Calculated values
E_tot ... -0.2695 Ha/atom
Magnetization ... 5.00 μB/f.u.
Formation energy from the elements ... -273.5 kJ/mol of atoms
Calculated density ... 2690 kg/m³
Relative energy among the computed polymorphs ... 1.2 kJ per mole of atoms

Lattice parameters (Å, degrees): 13.0497 7.4397 8.0270 60.62 90.00 90.00
Positions (direct):
1 Li 0.0523 0.8497 0.2649
2 Li 0.5523 0.1503 0.2351
3 Li 0.4477 0.8497 0.7649
4 Li 0.9477 0.1503 0.7351
5 Fe 0.1742 0.8216 0.9760
6 Fe 0.3258 0.8216 0.4760
7 Fe 0.6742 0.1784 0.5240
8 Fe 0.8258 0.1784 0.0240
9 Si 0.8384 0.7436 0.0124
10 Si 0.8963 0.2981 0.3475
11 Si 0.1196 0.3572 0.3245
12 Si 0.6616 0.7436 0.5124
13 Si 0.3963 0.7019 0.1525
14 Si 0.6196 0.6428 0.1755
15 Si 0.3804 0.3572 0.8245
16 Si 0.6037 0.2981 0.8475
17 Si 0.3384 0.2564 0.4876
18 Si 0.1037 0.7019 0.6525
19 Si 0.8804 0.6428 0.6755
20 Si 0.1616 0.2564 0.9876
21 O 0.3893 0.8301 0.2659
22 O 0.6257 0.7393 0.3193
23 O 0.1257 0.2607 0.1807
24 O 0.8893 0.1699 0.2341
25 O 0.7128 0.7352 0.0212
26 O 0.3179 0.7869 0.9714
27 O 0.1181 0.0436 0.0044
28 O 0.8819 0.9564 0.9956
29 O 0.8844 0.5463 0.2031
30 O 0.1193 0.6076 0.2082
31 O 0.5116 0.7295 0.0509
32 O 0.0116 0.2705 0.4491
33 O 0.1821 0.7869 0.4714
34 O 0.7872 0.7352 0.5212
35 O 0.6193 0.3924 0.2918
36 O 0.3844 0.4537 0.2969
37 O 0.6181 0.9564 0.4956
38 O 0.3819 0.0436 0.5044
39 O 0.3807 0.6076 0.7082
40 O 0.6156 0.5463 0.7031
41 O 0.2128 0.2648 0.4788
42 O 0.8179 0.2131 0.5286
43 O 0.9884 0.7295 0.5509
44 O 0.4884 0.2705 0.9491
45 O 0.1156 0.4537 0.7969
46 O 0.8807 0.3924 0.7918
47 O 0.2872 0.2648 0.9788
48 O 0.6821 0.2131 0.0286
49 O 0.1107 0.8301 0.7659
50 O 0.8743 0.7393 0.8193
51 O 0.3743 0.2607 0.6807
52 O 0.6107 0.1699 0.7341

# 5
Material: Mn3TeO6
Method: DFT, PBE with a Hubbard U
State: optimized geometry

Calculated values
E_tot ... -0.2577 Ha/atom
Magnetization ... 0.00 μB/f.u.
Formation energy from the elements ... -182.7 kJ/mol of atoms
Calculated density ... 5311 kg/m³
Relative energy among the computed polymorphs ... 2.6 kJ per mole of atoms
Piezoelectric modulus e_max ... 1.04 C/m²

Lattice parameters (Å, degrees): 5.4259 5.4281 10.0208 74.33 74.33 60.02
Positions (direct):
1 Mn 0.3166 0.3165 0.0503
2 Mn 0.0707 0.0704 0.7887
3 Mn 0.5704 0.5703 0.2889
4 Mn 0.1793 0.1793 0.4627
5 Mn 0.6791 0.6790 0.9634
6 Mn 0.8163 0.8164 0.5510
7 Te 0.4227 0.4227 0.7316
8 Te 0.9226 0.9228 0.2320
9 O 0.6699 0.2840 0.1257
10 O 0.1699 0.7843 0.6256
11 O 0.2840 0.9201 0.1257
12 O 0.7844 0.4197 0.6255
13 O 0.9207 0.6706 0.1253
14 O 0.4198 0.1704 0.6251
15 O 0.5885 0.8918 0.3631
16 O 0.0885 0.3921 0.8628
17 O 0.1565 0.5890 0.3632
18 O 0.6560 0.0886 0.8628
19 O 0.8915 0.1563 0.3635
20 O 0.3926 0.6557 0.8630

# 6
Material: Li4V2Fe3O10
Method: DFT, PBE with a Hubbard U
State: optimized geometry

Calculated values
E_tot ... -0.2396 Ha/atom
Magnetization ... 16.00 μB/f.u.
Formation energy from the elements ... -204.3 kJ/mol of atoms
Calculated density ... 4041 kg/m³

Lattice parameters (Å, degrees): 7.8718 6.6331 7.9784 114.65 83.71 89.67
Positions (direct):
1 Li 0.1531 0.0608 0.4065
2 Li 0.0481 0.3454 0.7840
3 Li 0.9969 0.4951 0.4914
4 Li 0.5031 0.0049 0.5086
5 Li 0.4519 0.1546 0.2160
6 Li 0.3469 0.4392 0.5935
7 Li 0.6557 0.5622 0.4027
8 Li 0.8443 0.9378 0.5973
9 V 0.2857 0.6030 0.3034
10 V 0.2143 0.8970 0.6966
11 V 0.8004 0.0881 0.3131
12 V 0.6996 0.4119 0.6869
13 Fe 0.0918 0.2175 0.1092
14 Fe 0.4082 0.2825 0.8908
15 Fe 0.2500 0.7500 0.0000
16 Fe 0.7500 0.2500 0.0000
17 Fe 0.6069 0.7085 0.0968
18 Fe 0.8931 0.7915 0.9032
19 O 0.3111 0.0241 0.9424
20 O 0.2776 0.1653 0.6666
21 O 0.2224 0.3347 0.3334
22 O 0.1356 0.6451 0.7665
23 O 0.1889 0.4759 0.0576
24 O 0.1005 0.7759 0.4613
25 O 0.6320 0.1622 0.7508
26 O 0.0275 0.9379 0.1434
27 O 0.5924 0.2786 0.4603
28 O 0.4725 0.5621 0.8566
29 O 0.5065 0.4408 0.1558
30 O 0.3995 0.7241 0.5387
31 O 0.9935 0.0592 0.8442
32 O 0.3644 0.8549 0.2335
33 O 0.9076 0.2214 0.5397
34 O 0.8146 0.5107 0.9264
35 O 0.8680 0.3378 0.2492
36 O 0.7779 0.6568 0.6599
37 O 0.7221 0.8432 0.3401
38 O 0.6854 0.9893 0.0736

# 7
Material: Li2FePCO7
Method: DFT, PBE with a Hubbard U
State: optimized geometry

Calculated values
E_tot ... -0.2511 Ha/atom
Magnetization ... 0.00 μB/f.u.
Formation energy from the elements ... -221.1 kJ/mol of atoms
Calculated density ... 2725 kg/m³
Relative energy among the computed polymorphs ... 0.4 kJ per mole of atoms

Lattice parameters (Å, degrees): 8.2091 9.3058 8.2703 107.14 76.27 74.84
Positions (direct):
1 Li 0.6881 0.1015 0.5816
2 Li 0.1882 0.1014 0.0816
3 Li 0.8119 0.8985 0.9183
4 Li 0.3119 0.8985 0.4183
5 Li 0.7451 0.2719 0.2877
6 Li 0.2452 0.2718 0.7877
7 Li 0.7548 0.7282 0.2123
8 Li 0.2549 0.7282 0.7124
9 Fe 0.3099 0.3305 0.4352
10 Fe 0.6903 0.6692 0.5644
11 Fe 0.8100 0.3303 0.9353
12 Fe 0.1898 0.6694 0.0649
13 P 0.5448 0.4186 0.6987
14 P 0.0450 0.4185 0.1985
15 P 0.9550 0.5815 0.8015
16 P 0.4550 0.5815 0.3014
17 C 0.0256 0.0477 0.7450
18 C 0.5256 0.0478 0.2450
19 C 0.4746 0.9521 0.7548
20 C 0.9744 0.9523 0.2550
21 O 0.8736 0.0744 0.8671
22 O 0.3735 0.0744 0.3672
23 O 0.6266 0.9255 0.6327
24 O 0.1264 0.9257 0.1328
25 O 0.8607 0.0912 0.3564
26 O 0.3608 0.0910 0.8562
27 O 0.6393 0.9090 0.1436
28 O 0.1394 0.9089 0.6436
29 O 0.0492 0.1793 0.7344
30 O 0.5491 0.1794 0.2345
31 O 0.4510 0.8206 0.7654
32 O 0.9507 0.8208 0.2657
33 O 0.4583 0.3001 0.6096
34 O 0.9584 0.3001 0.1094
35 O 0.0416 0.6999 0.8907
36 O 0.5417 0.6999 0.3905
37 O 0.6701 0.3183 0.7707
38 O 0.1701 0.3184 0.2706
39 O 0.8298 0.6816 0.7294
40 O 0.3298 0.6816 0.2294
41 O 0.1002 0.4256 0.6565
42 O 0.6001 0.4256 0.1564
43 O 0.3997 0.5745 0.8436
44 O 0.9000 0.5743 0.3435
45 O 0.6581 0.4608 0.5515
46 O 0.1581 0.4608 0.0514
47 O 0.8418 0.5393 0.9486
48 O 0.3418 0.5393 0.4486

# 8
Material: CrWO4
Method: DFT, PBE with a Hubbard U
State: optimized geometry

Calculated values
E_tot ... -0.2861 Ha/atom
Magnetization ... 0.50 μB/f.u.
Formation energy from the elements ... -216.9 kJ/mol of atoms
Calculated density ... 7315 kg/m³
Relative energy among the computed polymorphs ... 3.2 kJ per mole of atoms

Lattice parameters (Å, degrees): 9.3133 7.3636 7.2269 79.33 50.98 49.69
Positions (direct):
1 Cr 0.0000 0.0000 0.5000
2 Cr 0.0000 0.5000 0.0000
3 Cr 0.5000 0.5000 0.0000
4 Cr 0.5000 0.0000 0.5000
5 W 0.0000 0.5000 0.5000
6 W 0.0000 0.0000 0.0000
7 W 0.5000 0.0000 0.0000
8 W 0.5000 0.5000 0.5000
9 O 0.3472 0.3472 0.1528
10 O 0.8472 0.8472 0.6528
11 O 0.8454 0.6469 0.3531
12 O 0.1546 0.3531 0.6469
13 O 0.8506 0.1494 0.8506
14 O 0.3303 0.8659 0.6697
15 O 0.8659 0.3303 0.1341
16 O 0.6469 0.8454 0.1546
17 O 0.1494 0.8506 0.1494
18 O 0.6697 0.1341 0.3303
19 O 0.3470 0.6530 0.3470
20 O 0.1341 0.6697 0.8659
21 O 0.1528 0.1528 0.3472
22 O 0.3531 0.1546 0.8454
23 O 0.6530 0.3470 0.6530
24 O 0.6528 0.6528 0.8472

# 9
Material: MnZnSi4O10
Method: DFT, PBE with a Hubbard U
State: optimized geometry

Calculated values
E_tot ... -0.2732 Ha/atom
Magnetization ... 5.04 μB/f.u.
Formation energy from the elements ... -276.6 kJ/mol of atoms
Calculated density ... 3208 kg/m³

Lattice parameters (Å, degrees): 7.3714 7.3714 14.9643 90.00 90.00 90.00
Positions (direct):
1 Mn 0.5000 0.0000 0.5573
2 Mn 0.0000 0.5000 0.9427
3 Mn 0.0000 0.5000 0.4427
4 Mn 0.5000 0.0000 0.0573
5 Zn 0.5000 0.5000 0.5000
6 Zn 0.0000 0.0000 0.5000
7 Zn 0.0000 0.0000 0.0000
8 Zn 0.5000 0.5000 0.0000
9 Si 0.1516 0.2364 0.6458
10 Si 0.8484 0.7636 0.6458
11 Si 0.2364 0.1516 0.8542
12 Si 0.7364 0.3484 0.6458
13 Si 0.2636 0.6516 0.6458
14 Si 0.3484 0.7364 0.8542
15 Si 0.6516 0.2636 0.8542
16 Si 0.7636 0.8484 0.8542
17 Si 0.3484 0.2636 0.3542
18 Si 0.6516 0.7364 0.3542
19 Si 0.2636 0.3484 0.1458
20 Si 0.7636 0.1516 0.3542
21 Si 0.2364 0.8484 0.3542
22 Si 0.1516 0.7636 0.1458
23 Si 0.8484 0.2364 0.1458
24 Si 0.7364 0.6516 0.1458
25 O 0.2226 0.0856 0.5752
26 O 0.7774 0.9144 0.5752
27 O 0.0856 0.2226 0.9248
28 O 0.5856 0.2774 0.5752
29 O 0.4144 0.7226 0.5752
30 O 0.2774 0.5856 0.9248
31 O 0.7226 0.4144 0.9248
32 O 0.9144 0.7774 0.9248
33 O 0.2774 0.4144 0.4248
34 O 0.7226 0.5856 0.4248
35 O 0.4144 0.2774 0.0752
36 O 0.9144 0.2226 0.4248
37 O 0.0856 0.7774 0.4248
38 O 0.2226 0.9144 0.0752
39 O 0.7774 0.0856 0.0752
40 O 0.2579 0.0655 0.3727
41 O 0.5856 0.7226 0.0752
42 O 0.7579 0.5655 0.6273
43 O 0.4345 0.2421 0.8727
44 O 0.9345 0.2579 0.6273
45 O 0.0655 0.7421 0.6273
46 O 0.2579 0.9345 0.8727
47 O 0.7421 0.0655 0.8727
48 O 0.5655 0.7579 0.8727
49 O 0.6834 0.6834 0.2500
50 O 0.8166 0.1834 0.2500
51 O 0.1834 0.8166 0.2500
52 O 0.3166 0.3166 0.2500
53 O 0.8166 0.8166 0.7500
54 O 0.6834 0.3166 0.7500
55 O 0.3166 0.6834 0.7500
56 O 0.1834 0.1834 0.7500
57 O 0.9345 0.7421 0.1273
58 O 0.7579 0.4345 0.1273
59 O 0.2421 0.5655 0.1273
60 O 0.4345 0.7579 0.3727
61 O 0.5655 0.2421 0.3727
62 O 0.0655 0.2579 0.1273
63 O 0.7421 0.9345 0.3727
64 O 0.2421 0.4345 0.6273